Computed, not measured: crystalline RbGdO2 at its relaxed geometry at the PBE-GGA level of DFT.

Symmetry: R-3m, No. 166
Electronic total energy, hartree per atom: -0.326
V, Å³ per cell: 218.2

Unit cell a=3.5734 b=3.5734 c=19.7321 alpha=90.00 beta=90.00 gamma=120.00
Sites, in units of the cell vectors:
Rb (0.0000, 0.0000, 0.0000)
Rb (0.3333, 0.6667, 0.6667)
Rb (0.6667, 0.3333, 0.3333)
Gd (0.0000, 0.0000, 0.5000)
Gd (0.3333, 0.6667, 0.1667)
Gd (0.6667, 0.3333, 0.8333)
O (0.0000, 0.0000, 0.2258)
O (0.0000, 0.0000, 0.7742)
O (0.3333, 0.6667, 0.4409)
O (0.3333, 0.6667, 0.8925)
O (0.6667, 0.3333, 0.1075)
O (0.6667, 0.3333, 0.5591)

***

Computed, not measured: crystalline RbGdS2O9 at its relaxed geometry at the PBE-GGA level of DFT.

Symmetry: P2_1/c, No. 14
Electronic total energy, hartree per atom: -0.255
V, Å³ per cell: 831.7

Unit cell a=10.3011 b=8.6109 c=10.4801 alpha=90.00 beta=116.53 gamma=90.00
Sites, in units of the cell vectors:
Rb (0.2209, 0.1689, 0.1817)
Rb (0.2209, 0.3311, 0.6817)
Rb (0.7791, 0.6689, 0.3183)
Rb (0.7791, 0.8311, 0.8183)
Gd (0.2459, 0.6348, 0.0266)
Gd (0.2459, 0.8652, 0.5266)
Gd (0.7541, 0.1348, 0.4734)
Gd (0.7541, 0.3652, 0.9734)
S (0.0585, 0.6328, 0.1852)
S (0.0585, 0.8672, 0.6852)
S (0.4852, 0.6931, 0.8847)
S (0.4852, 0.8069, 0.3847)
S (0.5148, 0.1931, 0.6153)
S (0.5148, 0.3069, 0.1153)
S (0.9415, 0.1328, 0.3148)
S (0.9415, 0.3672, 0.8148)
O (0.0619, 0.7480, 0.5813)
O (0.0619, 0.7520, 0.0813)
O (0.0882, 0.7057, 0.3234)
O (0.0882, 0.7943, 0.8234)
O (0.0886, 0.0610, 0.3726)
O (0.0886, 0.4390, 0.8726)
O (0.1698, 0.5149, 0.1977)
O (0.1698, 0.9851, 0.6977)
O (0.3478, 0.6231, 0.5661)
O (0.3478, 0.8769, 0.0661)
O (0.3592, 0.5985, 0.8709)
O (0.3592, 0.9015, 0.3709)
O (0.3935, 0.0954, 0.6085)
O (0.3935, 0.4046, 0.1085)
O (0.4409, 0.7022, 0.2574)
O (0.4409, 0.7978, 0.7574)
O (0.4602, 0.2113, 0.9824)
O (0.4602, 0.2887, 0.4824)
O (0.5398, 0.7113, 0.5176)
O (0.5398, 0.7887, 0.0176)
O (0.5591, 0.2022, 0.2426)
O (0.5591, 0.2978, 0.7426)
O (0.6065, 0.5954, 0.8915)
O (0.6065, 0.9046, 0.3915)
O (0.6408, 0.0985, 0.6291)
O (0.6408, 0.4015, 0.1291)
O (0.6522, 0.1231, 0.9339)
O (0.6522, 0.3769, 0.4339)
O (0.8302, 0.0149, 0.3023)
O (0.8302, 0.4851, 0.8023)
O (0.9114, 0.5610, 0.1274)
O (0.9114, 0.9390, 0.6274)
O (0.9118, 0.2057, 0.1766)
O (0.9118, 0.2943, 0.6766)
O (0.9381, 0.2480, 0.9187)
O (0.9381, 0.2520, 0.4187)

***

Computed, not measured: crystalline Gd3ReO8 at its relaxed geometry at the PBE-GGA level of DFT.

Symmetry: P2_1/c, No. 14
Electronic total energy, hartree per atom: -0.392
V, Å³ per cell: 617.7

Unit cell a=7.3710 b=6.1058 c=14.7328 alpha=90.00 beta=111.32 gamma=90.00
Sites, in units of the cell vectors:
Gd (0.0954, 0.2414, 0.2015)
Gd (0.0954, 0.2586, 0.7015)
Gd (0.1603, 0.2009, 0.4453)
Gd (0.1603, 0.2991, 0.9453)
Gd (0.3928, 0.6907, 0.3326)
Gd (0.3928, 0.8093, 0.8326)
Gd (0.6072, 0.1907, 0.1674)
Gd (0.6072, 0.3093, 0.6674)
Gd (0.8397, 0.7009, 0.0547)
Gd (0.8397, 0.7991, 0.5547)
Gd (0.9046, 0.7414, 0.2985)
Gd (0.9046, 0.7586, 0.7985)
Re (0.3213, 0.7461, 0.0903)
Re (0.3213, 0.7539, 0.5903)
Re (0.6787, 0.2461, 0.4097)
Re (0.6787, 0.2539, 0.9097)
O (0.0879, 0.6963, 0.9811)
O (0.0879, 0.8037, 0.4811)
O (0.1474, 0.0284, 0.8412)
O (0.1474, 0.4716, 0.3412)
O (0.1685, 0.6481, 0.1695)
O (0.1685, 0.8519, 0.6695)
O (0.1858, 0.5282, 0.8270)
O (0.1858, 0.9718, 0.3270)
O (0.2487, 0.0434, 0.0964)
O (0.2487, 0.4566, 0.5964)
O (0.3786, 0.0523, 0.5884)
O (0.3786, 0.4477, 0.0884)
O (0.4692, 0.2054, 0.7877)
O (0.4692, 0.2946, 0.2877)
O (0.4751, 0.6965, 0.5205)
O (0.4751, 0.8035, 0.0205)
O (0.5249, 0.1965, 0.9795)
O (0.5249, 0.3035, 0.4795)
O (0.5308, 0.7054, 0.7123)
O (0.5308, 0.7946, 0.2123)
O (0.6214, 0.5523, 0.9116)
O (0.6214, 0.9477, 0.4116)
O (0.7513, 0.5434, 0.4036)
O (0.7513, 0.9566, 0.9036)
O (0.8142, 0.0282, 0.6730)
O (0.8142, 0.4718, 0.1730)
O (0.8315, 0.1481, 0.3305)
O (0.8315, 0.3519, 0.8305)
O (0.8526, 0.5284, 0.6588)
O (0.8526, 0.9716, 0.1588)
O (0.9121, 0.1963, 0.5189)
O (0.9121, 0.3037, 0.0189)

***

Computed, not measured: crystalline Sr2GdReO6 at its relaxed geometry at the PBE-GGA level of DFT.

Symmetry: Fm-3m, No. 225
Electronic total energy, hartree per atom: -0.313
V, Å³ per cell: 148.6

Unit cell a=5.9453 b=5.9453 c=5.9453 alpha=60.00 beta=60.00 gamma=60.00
Sites, in units of the cell vectors:
Sr (0.2500, 0.2500, 0.2500)
Sr (0.7500, 0.7500, 0.7500)
Gd (0.0000, 0.0000, 0.0000)
Re (0.5000, 0.5000, 0.5000)
O (0.2659, 0.2659, 0.7341)
O (0.2659, 0.7341, 0.2659)
O (0.2659, 0.7341, 0.7341)
O (0.7341, 0.2659, 0.2659)
O (0.7341, 0.2659, 0.7341)
O (0.7341, 0.7341, 0.2659)

***

Computed, not measured: crystalline GdRhO3 at its relaxed geometry at the PBE-GGA level of DFT.

Symmetry: Pm-3m, No. 221
Electronic total energy, hartree per atom: -0.328
V, Å³ per cell: 62.3

Unit cell a=3.9638 b=3.9638 c=3.9638 alpha=90.00 beta=90.00 gamma=90.00
Sites, in units of the cell vectors:
Gd (0.0000, 0.0000, 0.0000)
Rh (0.5000, 0.5000, 0.5000)
O (0.0000, 0.5000, 0.5000)
O (0.5000, 0.0000, 0.5000)
O (0.5000, 0.5000, 0.0000)

***

Computed, not measured: crystalline Sr3GdRhO6 at its relaxed geometry at the PBE-GGA level of DFT.

Symmetry: R-3c, No. 167
Electronic total energy, hartree per atom: -0.280
V, Å³ per cell: 325.6

Unit cell a=6.8833 b=6.8833 c=6.8833 alpha=91.95 beta=91.95 gamma=91.95
Sites, in units of the cell vectors:
Sr (0.1189, 0.7500, 0.3811)
Sr (0.2500, 0.6189, 0.8811)
Sr (0.3811, 0.1189, 0.7500)
Sr (0.6189, 0.8811, 0.2500)
Sr (0.7500, 0.3811, 0.1189)
Sr (0.8811, 0.2500, 0.6189)
Gd (0.2500, 0.2500, 0.2500)
Gd (0.7500, 0.7500, 0.7500)
Rh (0.0000, 0.0000, 0.0000)
Rh (0.5000, 0.5000, 0.5000)
O (0.0463, 0.9122, 0.7082)
O (0.0878, 0.2918, 0.9537)
O (0.2082, 0.4122, 0.5463)
O (0.2918, 0.9537, 0.0878)
O (0.4122, 0.5463, 0.2082)
O (0.4537, 0.7918, 0.5878)
O (0.5463, 0.2082, 0.4122)
O (0.5878, 0.4537, 0.7918)
O (0.7082, 0.0463, 0.9122)
O (0.7918, 0.5878, 0.4537)
O (0.9122, 0.7082, 0.0463)
O (0.9537, 0.0878, 0.2918)

***

Computed, not measured: crystalline Gd3RuO7 at its relaxed geometry at the PBE-GGA level of DFT.

Energy above the most stable polymorph in this dataset, meV per atom: 0
Symmetry: Cmcm, No. 63
Electronic total energy, hartree per atom: -0.387
V, Å³ per cell: 295.0

Unit cell a=6.4898 b=6.4898 c=7.4879 alpha=90.00 beta=90.00 gamma=69.32
Sites, in units of the cell vectors:
Gd (0.0000, 0.0000, 0.0000)
Gd (0.0000, 0.0000, 0.5000)
Gd (0.0738, 0.4782, 0.7500)
Gd (0.4782, 0.0738, 0.2500)
Gd (0.5218, 0.9262, 0.7500)
Gd (0.9262, 0.5218, 0.2500)
Ru (0.5000, 0.5000, 0.0000)
Ru (0.5000, 0.5000, 0.5000)
O (0.1082, 0.1566, 0.2500)
O (0.1566, 0.1082, 0.7500)
O (0.1828, 0.5618, 0.0389)
O (0.1828, 0.5618, 0.4611)
O (0.4128, 0.5872, 0.7500)
O (0.4382, 0.8172, 0.0389)
O (0.4382, 0.8172, 0.4611)
O (0.5618, 0.1828, 0.5389)
O (0.5618, 0.1828, 0.9611)
O (0.5872, 0.4128, 0.2500)
O (0.8172, 0.4382, 0.5389)
O (0.8172, 0.4382, 0.9611)
O (0.8434, 0.8918, 0.2500)
O (0.8918, 0.8434, 0.7500)

***

Computed, not measured: crystalline Gd3RuO7 at its relaxed geometry at the PBE-GGA level of DFT.

Energy above the most stable polymorph in this dataset, meV per atom: 13
Symmetry: Pna2_1, No. 33
Electronic total energy, hartree per atom: -0.386
V, Å³ per cell: 1173.2

Unit cell a=14.7837 b=7.4405 c=10.6661 alpha=90.00 beta=90.00 gamma=90.00
Sites, in units of the cell vectors:
Gd (0.0216, 0.2364, 0.0000)
Gd (0.0281, 0.2500, 0.4496)
Gd (0.1114, 0.4964, 0.7274)
Gd (0.1384, 0.9958, 0.7108)
Gd (0.2225, 0.7553, 0.9897)
Gd (0.2272, 0.7569, 0.4375)
Gd (0.2728, 0.2569, 0.9375)
Gd (0.2775, 0.2553, 0.4897)
Gd (0.3616, 0.4958, 0.2108)
Gd (0.3886, 0.9964, 0.2274)
Gd (0.4719, 0.7500, 0.9496)
Gd (0.4784, 0.7364, 0.5000)
Gd (0.5216, 0.2636, 0.0000)
Gd (0.5281, 0.2500, 0.4496)
Gd (0.6113, 0.0036, 0.7274)
Gd (0.6384, 0.5042, 0.7108)
Gd (0.7225, 0.7447, 0.9897)
Gd (0.7272, 0.7431, 0.4375)
Gd (0.7728, 0.2431, 0.9375)
Gd (0.7775, 0.2447, 0.4897)
Gd (0.8616, 0.0042, 0.2108)
Gd (0.8886, 0.5036, 0.2274)
Gd (0.9719, 0.7500, 0.9496)
Gd (0.9784, 0.7636, 0.5000)
Ru (0.1244, 0.5016, 0.2183)
Ru (0.1270, 0.0025, 0.2199)
Ru (0.3730, 0.5025, 0.7199)
Ru (0.3756, 0.0016, 0.7183)
Ru (0.6244, 0.9984, 0.2183)
Ru (0.6270, 0.4975, 0.2199)
Ru (0.8730, 0.9975, 0.7199)
Ru (0.8756, 0.4984, 0.7183)
O (0.0153, 0.9599, 0.1164)
O (0.0295, 0.5342, 0.0914)
O (0.0311, 0.5427, 0.3469)
O (0.0619, 0.9560, 0.3763)
O (0.0810, 0.2511, 0.2275)
O (0.1057, 0.7665, 0.8540)
O (0.1187, 0.7350, 0.5887)
O (0.1314, 0.2413, 0.8502)
O (0.1439, 0.2624, 0.5862)
O (0.1693, 0.7510, 0.2111)
O (0.1942, 0.0491, 0.0688)
O (0.2201, 0.4629, 0.0882)
O (0.2199, 0.4647, 0.3440)
O (0.2373, 0.0411, 0.3258)
O (0.2627, 0.5411, 0.8258)
O (0.2799, 0.9629, 0.5882)
O (0.2801, 0.9647, 0.8440)
O (0.3058, 0.5491, 0.5688)
O (0.3307, 0.2510, 0.7111)
O (0.3561, 0.7624, 0.0862)
O (0.3686, 0.7413, 0.3502)
O (0.3813, 0.2350, 0.0887)
O (0.3943, 0.2665, 0.3540)
O (0.4190, 0.7511, 0.7275)
O (0.4381, 0.4560, 0.8763)
O (0.4689, 0.0427, 0.8469)
O (0.4705, 0.0342, 0.5914)
O (0.4847, 0.4599, 0.6164)
O (0.5153, 0.5401, 0.1164)
O (0.5295, 0.9658, 0.0914)
O (0.5311, 0.9573, 0.3469)
O (0.5619, 0.5440, 0.3763)
O (0.5810, 0.2489, 0.2275)
O (0.6057, 0.7335, 0.8540)
O (0.6187, 0.7650, 0.5887)
O (0.6314, 0.2587, 0.8502)
O (0.6439, 0.2376, 0.5862)
O (0.6693, 0.7490, 0.2111)
O (0.6942, 0.4509, 0.0688)
O (0.7199, 0.0353, 0.3440)
O (0.7201, 0.0371, 0.0882)
O (0.7373, 0.4589, 0.3258)
O (0.7627, 0.9589, 0.8258)
O (0.7801, 0.5353, 0.8440)
O (0.7799, 0.5371, 0.5882)
O (0.8058, 0.9509, 0.5688)
O (0.8307, 0.2490, 0.7111)
O (0.8561, 0.7376, 0.0862)
O (0.8686, 0.7587, 0.3502)
O (0.8813, 0.2650, 0.0887)
O (0.8943, 0.2335, 0.3540)
O (0.9190, 0.7489, 0.7275)
O (0.9381, 0.0440, 0.8763)
O (0.9689, 0.4573, 0.8469)
O (0.9705, 0.4658, 0.5914)
O (0.9847, 0.0401, 0.6164)

***

Computed, not measured: crystalline GdS3O12 at its relaxed geometry at the PBE-GGA level of DFT.

Symmetry: Pbca, No. 61
Electronic total energy, hartree per atom: -0.248
V, Å³ per cell: 1977.1

Unit cell a=9.7115 b=16.6748 c=12.2089 alpha=90.00 beta=90.00 gamma=90.00
Sites, in units of the cell vectors:
Gd (0.1639, 0.2299, 0.1072)
Gd (0.1639, 0.2701, 0.6072)
Gd (0.3361, 0.7299, 0.1072)
Gd (0.3361, 0.7701, 0.6072)
Gd (0.6639, 0.2299, 0.3928)
Gd (0.6639, 0.2701, 0.8928)
Gd (0.8361, 0.7299, 0.3928)
Gd (0.8361, 0.7701, 0.8928)
S (0.0146, 0.1533, 0.3677)
S (0.0146, 0.3467, 0.8677)
S (0.1041, 0.5975, 0.5119)
S (0.1041, 0.9025, 0.0119)
S (0.1699, 0.6581, 0.8408)
S (0.1699, 0.8419, 0.3408)
S (0.3301, 0.1581, 0.8408)
S (0.3301, 0.3419, 0.3408)
S (0.3959, 0.0975, 0.5119)
S (0.3959, 0.4025, 0.0119)
S (0.4854, 0.6533, 0.3677)
S (0.4854, 0.8467, 0.8677)
S (0.5146, 0.1533, 0.1323)
S (0.5146, 0.3467, 0.6323)
S (0.6041, 0.5975, 0.9881)
S (0.6041, 0.9025, 0.4881)
S (0.6699, 0.6581, 0.6592)
S (0.6699, 0.8419, 0.1592)
S (0.8301, 0.1581, 0.6592)
S (0.8301, 0.3419, 0.1592)
S (0.8959, 0.0975, 0.9881)
S (0.8959, 0.4025, 0.4881)
S (0.9854, 0.6533, 0.1323)
S (0.9854, 0.8467, 0.6323)
O (0.0077, 0.1277, 0.0600)
O (0.0077, 0.3723, 0.5600)
O (0.0201, 0.0746, 0.4230)
O (0.0201, 0.4254, 0.9230)
O (0.0406, 0.5610, 0.6108)
O (0.0409, 0.7056, 0.8340)
O (0.0409, 0.7944, 0.3340)
O (0.0406, 0.9390, 0.1108)
O (0.0561, 0.2180, 0.4450)
O (0.0561, 0.2820, 0.9450)
O (0.1084, 0.1547, 0.2719)
O (0.1084, 0.3453, 0.7719)
O (0.1296, 0.6674, 0.1695)
O (0.1296, 0.8326, 0.6695)
O (0.1429, 0.5727, 0.8155)
O (0.1429, 0.9273, 0.3155)
O (0.1841, 0.5347, 0.4549)
O (0.1841, 0.9653, 0.9549)
O (0.1969, 0.6644, 0.5430)
O (0.1969, 0.8356, 0.0430)
O (0.2291, 0.1898, 0.7604)
O (0.2291, 0.3102, 0.2604)
O (0.2291, 0.6626, 0.9524)
O (0.2291, 0.8374, 0.4524)
O (0.2709, 0.1626, 0.9524)
O (0.2709, 0.3374, 0.4524)
O (0.2709, 0.6898, 0.7604)
O (0.2709, 0.8102, 0.2604)
O (0.3031, 0.1644, 0.5430)
O (0.3031, 0.3356, 0.0430)
O (0.3159, 0.0347, 0.4549)
O (0.3159, 0.4653, 0.9549)
O (0.3571, 0.0727, 0.8155)
O (0.3571, 0.4273, 0.3155)
O (0.3704, 0.1674, 0.1695)
O (0.3704, 0.3326, 0.6695)
O (0.3916, 0.6547, 0.2719)
O (0.3916, 0.8453, 0.7719)
O (0.4439, 0.7180, 0.4450)
O (0.4439, 0.7820, 0.9450)
O (0.4594, 0.0610, 0.6108)
O (0.4591, 0.2056, 0.8340)
O (0.4591, 0.2944, 0.3340)
O (0.4594, 0.4390, 0.1108)
O (0.4799, 0.5746, 0.4230)
O (0.4799, 0.9254, 0.9230)
O (0.4923, 0.6277, 0.0600)
O (0.4923, 0.8723, 0.5600)
O (0.5077, 0.1277, 0.4400)
O (0.5077, 0.3723, 0.9400)
O (0.5201, 0.0746, 0.0770)
O (0.5201, 0.4254, 0.5770)
O (0.5406, 0.5610, 0.8892)
O (0.5409, 0.7056, 0.6660)
O (0.5409, 0.7944, 0.1660)
O (0.5406, 0.9390, 0.3892)
O (0.5561, 0.2180, 0.0550)
O (0.5561, 0.2820, 0.5550)
O (0.6084, 0.1547, 0.2281)
O (0.6084, 0.3453, 0.7281)
O (0.6296, 0.6674, 0.3305)
O (0.6296, 0.8326, 0.8305)
O (0.6429, 0.5727, 0.6845)
O (0.6429, 0.9273, 0.1845)
O (0.6841, 0.5347, 0.0451)
O (0.6841, 0.9653, 0.5451)
O (0.6969, 0.6644, 0.9570)
O (0.6969, 0.8356, 0.4570)
O (0.7291, 0.1898, 0.7396)
O (0.7291, 0.3102, 0.2396)
O (0.7291, 0.6626, 0.5476)
O (0.7291, 0.8374, 0.0476)
O (0.7709, 0.1626, 0.5476)
O (0.7709, 0.3374, 0.0476)
O (0.7709, 0.6898, 0.7396)
O (0.7709, 0.8102, 0.2396)
O (0.8031, 0.1644, 0.9570)
O (0.8031, 0.3356, 0.4570)
O (0.8159, 0.0347, 0.0451)
O (0.8159, 0.4653, 0.5451)
O (0.8571, 0.0727, 0.6845)
O (0.8571, 0.4273, 0.1845)
O (0.8704, 0.1674, 0.3305)
O (0.8704, 0.3326, 0.8305)
O (0.8916, 0.6547, 0.2281)
O (0.8916, 0.8453, 0.7281)
O (0.9439, 0.7180, 0.0550)
O (0.9439, 0.7820, 0.5550)
O (0.9594, 0.0610, 0.8892)
O (0.9591, 0.2056, 0.6660)
O (0.9591, 0.2944, 0.1660)
O (0.9594, 0.4390, 0.3892)
O (0.9799, 0.5746, 0.0770)
O (0.9799, 0.9254, 0.5770)
O (0.9923, 0.6277, 0.4400)
O (0.9923, 0.8723, 0.9400)

***

| no. | calculated density (g cm⁻³) | ΔE_f (eV/atom) |
| --- | --- | --- |
| 1 | 6.27 | -2.9796 |
| 2 | 3.60 | -2.1846 |
| 3 | 8.45 | -3.2699 |
| 4 | 6.87 | -2.9624 |
| 5 | 8.22 | -2.0716 |
| 6 | 6.31 | -2.8972 |
| 7 | 7.71 | -3.1304 |
| 8 | 7.75 | -3.1175 |
| 9 | 2.99 | -1.8990 |